Entry 1:
Density functional theory data (PBE+U) for an optimized crystal structure of La4MgGa2Fe2O12.

a b c (Å): 6.0466 5.6988 8.4450
angles (deg): 95.81 91.44 86.07
With the nearest neighbours (Å) after each atom.
Fractional coordinates of all 21 atoms:
O1 0.3097 0.7427 0.4044  1 Fe 2.01, 1 Ga 2.08
O2 0.2610 0.6644 0.0539  1 Ga 2.09
O3 0.7553 0.8415 0.4416  1 Ga 1.94, 1 Mg 1.97
O4 0.4487 0.1199 0.2373  1 Ga 1.95, 1 Fe 2.13
O5 0.9643 0.3849 0.2560  1 Ga 1.95, 1 Fe 2.02
O6 0.0304 0.6326 0.6924  1 Mg 1.97, 1 Fe 2.08
O7 0.1625 0.2044 0.9362  1 Ga 1.92
O8 0.7985 0.7535 0.0772  1 Ga 1.92
O9 0.7011 0.2961 0.9541  1 Ga 2.09, 1 Fe 2.27
O10 0.6416 0.3008 0.5789  1 Mg 1.93, 1 Ga 1.99
O11 0.2044 0.1833 0.5503  1 Ga 1.96, 1 Fe 2.02
O12 0.5579 0.8275 0.7715  1 Mg 1.98, 1 Fe 2.04
La1 0.3759 0.4593 0.7978  6 O 2.41-2.54
La2 0.0473 0.9655 0.2438  4 O 2.35-2.54
La3 0.5580 0.5229 0.2273  5 O 2.35-2.54
La4 0.9219 0.0549 0.7304  5 O 2.37-2.57
Mg1 0.7248 0.6237 0.6052  4 O 1.93-1.98
Ga1 0.4833 0.0438 0.4575  5 O 1.94-2.08
Ga2 0.9826 0.4652 0.0381  5 O 1.92-2.09
Fe1 0.5141 0.9788 0.9990  4 O 2.04-2.27
Fe2 0.1164 0.4939 0.4638  4 O 2.01-2.08

Energy above the lowest structure with this stoichiometry in eV/atom: 0.039
Theoretical density in g/cm3: 5.88
SG: No. 1
Calculated formation energy in eV per atom: -2.840
Total magnetic moment in μB per atom: 0.381
Crystal system: triclinic
Electronic total energy in eV per atom: -7.1717

=====

Entry 2:
Density functional theory data (PBE+U) for an optimized crystal structure of La4MgGa2Fe2O12.

a b c (Å): 6.1593 5.6049 8.0180
angles (deg): 89.95 89.09 92.89
With the nearest neighbours (Å) after each atom.
Fractional coordinates of all 21 atoms:
O1 0.4882 0.1047 0.2625  1 Mg 1.93, 1 Ga 2.05
O2 0.3283 0.7048 0.4591  1 Ga 2.07
O3 0.7032 0.3309 0.9421  1 Mg 1.92
O4 0.0415 0.6175 0.7567  1 Ga 2.01, 1 Fe 2.14
O5 0.2102 0.1866 0.5546  1 Fe 2.23, 1 Ga 2.23, 1 La 2.44
O6 0.6873 0.3030 0.5554  1 Ga 1.93, 1 Fe 2.15
O7 0.2927 0.6896 0.0672  1 Fe 1.96, 1 Ga 2.05
O8 0.1706 0.2257 0.9417  1 Fe 1.96, 1 Ga 2.03
O9 0.9452 0.3627 0.2422  1 Mg 2.04, 1 Ga 2.18, 1 Fe 2.27
O10 0.7994 0.8200 0.4525  1 Ga 2.10, 1 Fe 2.32
O11 0.8439 0.8034 0.0721  1 Mg 1.92, 1 Ga 2.00
O12 0.5356 0.9016 0.7436  1 Fe 1.94, 1 Ga 1.99
Mg1 0.7481 0.1168 0.1235  4 O 1.92-2.04
Fe1 0.3893 0.9838 0.9501  3 O 1.94-1.96
Fe2 0.9968 0.4877 0.5084  6 O 2.14-2.35
La1 0.5756 0.5572 0.2597  6 O 2.37-2.57
La2 0.9269 0.0227 0.7451  5 O 2.41-2.69
La3 0.4333 0.4808 0.7411  6 O 2.40-2.63
La4 0.1183 0.9615 0.2935  7 O 2.39-2.62
Ga1 0.5221 0.0092 0.5070  5 O 1.93-2.10
Ga2 0.0054 0.5202 0.9968  6 O 2.00-2.18

Energy above the lowest structure with this stoichiometry in eV/atom: 0.044
Theoretical density in g/cm3: 6.15
SG: No. 1
Calculated formation energy in eV per atom: -2.836
Total magnetic moment in μB per atom: 0.381
Crystal system: triclinic
Electronic total energy in eV per atom: -7.1674

=====

Entry 3:
Density functional theory data (PBE+U) for an optimized crystal structure of La4MgGa2Fe2O12.

a b c (Å): 5.5389 5.7867 10.0026
angles (deg): 89.13 104.63 91.25
With the nearest neighbours (Å) after each atom.
Fractional coordinates of all 21 atoms:
O1 0.7936 0.7856 0.4522  1 Ga 2.02, 1 Fe 2.15
O2 0.7026 0.8149 0.1340  1 Ga 1.87, 1 Fe 2.01
O3 0.8945 0.4043 0.2419  1 Ga 1.91
O4 0.6553 0.9078 0.6883  1 Ga 1.97
O5 0.6463 0.4675 0.9140  1 Ga 1.83, 1 Mg 2.00
O6 0.7639 0.2748 0.5082  1 Ga 2.00, 1 Fe 2.04
O7 0.1953 0.6231 0.0661  1 Ga 1.88, 1 Mg 2.00
O8 0.4009 0.0958 0.2706  1 Fe 2.08, 1 Ga 2.22
O9 0.2020 0.1278 0.9085  1 Fe 1.92, 1 Mg 1.95
O10 0.1376 0.5741 0.7197  1 Mg 1.99, 1 Fe 2.22
O11 0.2773 0.2009 0.5296  1 Ga 1.98, 1 Fe 2.15
O12 0.3066 0.7151 0.4486  1 Fe 2.02, 1 Ga 2.04
La1 0.4951 0.5093 0.2926  6 O 2.42-2.66
La2 0.9799 0.0230 0.3085  4 O 2.32-2.48
La3 0.0925 0.9823 0.6940  4 O 2.25-2.47
La4 0.6096 0.5128 0.6784  3 O 2.29-2.53
Ga1 0.8625 0.5708 0.0726  4 O 1.83-1.91
Ga2 0.5368 0.9985 0.4922  5 O 1.97-2.04
Mg1 0.2829 0.4571 0.9108  4 O 1.95-2.00
Fe1 0.0459 0.5005 0.4955  5 O 2.02-2.22
Fe2 0.3686 0.9660 0.0736  3 O 1.92-2.08

Energy above the lowest structure with this stoichiometry in eV/atom: 0.000
Theoretical density in g/cm3: 5.48
SG: No. 1
Calculated formation energy in eV per atom: -2.879
Total magnetic moment in μB per atom: 0.381
Crystal system: triclinic
Electronic total energy in eV per atom: -7.2109

=====

Entry 4:
Density functional theory data (PBE+U) for an optimized crystal structure of SrLa9Mg2Ga6Fe2O28.

a b c (Å): 5.5844 5.6032 23.0600
angles (deg): 90.76 96.23 119.58
With the nearest neighbours (Å) after each atom.
Fractional coordinates of all 48 atoms:
La1 0.3046 0.1511 0.9480  4 O 2.41-2.52
La2 0.5060 0.7541 0.7495  4 O 2.42-2.70
La3 0.5133 0.2403 0.2543  4 O 2.35-2.57
La4 0.3216 0.6634 0.4489  5 O 2.42-2.59
La5 0.8962 0.4483 0.8442  3 O 2.34-2.41
La6 0.1061 0.0522 0.6499  3 O 2.39-2.43
La7 0.6596 0.8381 0.0450  5 O 2.35-2.50
La8 0.9230 0.9534 0.3556  4 O 2.36-2.47
La9 0.7014 0.3493 0.5488  3 O 2.39-2.52
O1 0.6761 0.6300 0.6500  2 Ga 2.01
O2 0.9362 0.1904 0.7505  2 Ga 2.02-2.05
O3 0.2130 0.3090 0.5634  2 Ga 1.98-2.04
O4 0.3457 0.1333 0.4592  2 Ga 2.02-2.05
O5 0.4746 0.9310 0.3570  1 Ga 2.04, 1 Mg 2.06
O6 0.7859 0.6906 0.4418  2 Ga 1.98-2.05
O7 0.2346 0.6248 0.9267  1 Mg 1.94, 1 Ga 1.94
O8 0.0860 0.8227 0.2507  1 Mg 2.06, 1 Fe 2.07
O9 0.3380 0.3705 0.3512  1 Ga 2.00, 1 Mg 2.05
O10 0.1284 0.7744 0.5510  2 Ga 2.02
O11 0.9535 0.9807 0.8640  2 Ga 2.01-2.06
O12 0.4344 0.4920 0.8348  2 Ga 2.00-2.04
O13 0.6490 0.8364 0.5377  2 Ga 1.98-2.01
O14 0.2665 0.3942 0.0463  1 Fe 2.02, 1 Mg 2.13
O15 0.4490 0.2269 0.7343  2 Ga 2.01-2.02
O16 0.9933 0.9607 0.1276  2 Fe 1.86-2.07
O17 0.8679 0.4887 0.3458  1 Ga 1.90, 1 Mg 1.94
O18 0.2630 0.9033 0.0353  1 Fe 2.01, 1 Mg 2.08
O19 0.9882 0.7173 0.7608  2 Ga 2.01-2.02
O20 0.4708 0.0164 0.8447  2 Ga 1.99-2.05
O21 0.6170 0.0988 0.6354  2 Ga 1.99-2.03
O22 0.7411 0.1201 0.9643  1 Mg 2.02, 1 Ga 2.07
O23 0.8924 0.2408 0.4542  2 Ga 2.04-2.05
O24 0.7220 0.6073 0.9589  1 Ga 2.04, 1 Mg 2.04
O25 0.9650 0.2579 0.2453  1 Fe 1.97, 1 Mg 2.02
O26 0.5344 0.0010 0.1513  2 Fe 1.97-2.09
O27 0.5330 0.4840 0.1709  2 Fe 2.08-2.09
O28 0.1597 0.5759 0.6629  2 Ga 1.99-2.01
Ga1 0.6152 0.3045 0.4004  6 O 1.90-2.05
Ga2 0.8025 0.4049 0.6980  6 O 1.99-2.05
Ga3 0.2052 0.1046 0.7989  6 O 1.99-2.06
Ga4 0.5966 0.8039 0.8996  6 O 1.94-2.07
Ga5 0.0050 0.0007 0.5022  6 O 1.98-2.05
Ga6 0.4049 0.7030 0.6001  6 O 1.98-2.04
Sr1 0.0919 0.5456 0.1577  5 O 2.54-2.72
Fe1 0.3448 0.1666 0.1046  5 O 1.86-2.08
Fe2 0.7974 0.8949 0.2016  5 O 1.97-2.09
Mg1 0.0189 0.5152 0.9917  5 O 1.94-2.13
Mg2 0.1847 0.5856 0.3046  5 O 1.94-2.06

Theoretical density in g/cm3: 6.31
SG: No. 1
Calculated formation energy in eV per atom: -3.015
Total magnetic moment in μB per atom: 0.188
Crystal system: triclinic
Electronic total energy in eV per atom: -7.1656

=====

Entry 5:
Density functional theory data (PBE+U) for an optimized crystal structure of La4Ga3FeO12.

a b c (Å): 5.6069 9.5498 9.7097
angles (deg): 70.20 90.01 90.00
With the nearest neighbours (Å) after each atom.
Fractional coordinates of all 40 atoms:
O1 0.7850 0.1248 0.8400  2 Ga 2.01
O2 0.7845 0.6249 0.9105  2 Ga 2.01
O3 0.9301 0.6256 0.6262  1 Ga 2.00, 1 Fe 2.02
O4 0.7150 0.3752 0.1600  2 Ga 2.01
O5 0.2150 0.8752 0.1600  2 Ga 2.01
O6 0.4301 0.1256 0.6262  1 Ga 2.00, 1 Fe 2.02
O7 0.5703 0.3751 0.8753  2 Ga 2.01
O8 0.9297 0.1249 0.1247  2 Ga 2.01
O9 0.0703 0.8751 0.8753  2 Ga 2.01
O10 0.5699 0.8744 0.3738  1 Ga 2.00, 1 Fe 2.02
O11 0.2155 0.3751 0.0895  2 Ga 2.01
O12 0.2832 0.1255 0.3391  1 Ga 2.00, 1 Fe 2.02
O13 0.7832 0.6255 0.3391  1 Ga 2.00, 1 Fe 2.02
O14 0.4297 0.6249 0.1247  2 Ga 2.01
O15 0.0699 0.3744 0.3738  1 Ga 2.00, 1 Fe 2.02
O16 0.7155 0.8751 0.0895  2 Ga 2.01
O17 0.7870 0.1258 0.4088  1 Ga 2.00, 1 Fe 2.02
O18 0.2845 0.1249 0.9105  2 Ga 2.01
O19 0.2870 0.6258 0.4088  1 Ga 2.00, 1 Fe 2.02
O20 0.2168 0.3745 0.6609  1 Ga 2.00, 1 Fe 2.02
O21 0.2850 0.6248 0.8400  2 Ga 2.01
O22 0.7168 0.8745 0.6609  1 Ga 2.00, 1 Fe 2.02
O23 0.2130 0.8742 0.5912  1 Ga 2.00, 1 Fe 2.02
O24 0.7130 0.3742 0.5912  1 Ga 2.00, 1 Fe 2.02
Ga1 0.5005 0.7503 0.2491  6 O 2.00-2.01
Ga2 0.5000 0.5000 0.0000  6 O 2.01
Ga3 0.4995 0.2497 0.7509  6 O 2.00-2.01
Ga4 0.0005 0.2503 0.2491  6 O 2.00-2.01
Ga5 0.0000 0.0000 0.0000  6 O 2.01
Ga6 0.9995 0.7497 0.7509  6 O 2.00-2.01
La1 0.5003 0.6245 0.6252  3 O 2.41
La2 0.0005 0.3749 0.8751  3 O 2.41
La3 0.4995 0.1251 0.1249  3 O 2.41
La4 0.4997 0.3755 0.3748  3 O 2.41
La5 0.9995 0.6251 0.1249  3 O 2.41
La6 0.0003 0.1245 0.6252  3 O 2.41
La7 0.9997 0.8755 0.3748  3 O 2.41
La8 0.5005 0.8749 0.8751  3 O 2.41
Fe1 0.5000 0.0000 0.5000  6 O 2.02
Fe2 0.0000 0.5000 0.5000  6 O 2.02

Energy above the lowest structure with this stoichiometry in eV/atom: 0.006
Theoretical density in g/cm3: 6.87
Calculated formation energy in eV per atom: -3.029
Total magnetic moment in μB per atom: 0.000
Electronic total energy in eV per atom: -7.3373